Entry 1:
{"formula": "SrMg14Bi", "functional": "PBE", "state": "relaxed", "volume_a3_per_atom": 25.13, "magmom_total_mub_per_fu": 0.00, "crystal_system": "hexagonal", "spacegroup": "P-6m2, No. 187", "lattice": [[-1.733, -5.941, 2.274], [6.226, 1.135, -1.849], [2.385, 3.108, 9.938]], "species": ["Mg", "Mg", "Mg", "Mg", "Mg", "Mg", "Mg", "Mg", "Mg", "Mg", "Mg", "Mg", "Mg", "Mg", "Sr", "Bi"], "fractional_positions": [[0.173, 0.837, 0.125], [0.338, 0.676, 0.379], [0.663, 0.327, 0.125], [0.669, 0.831, 0.625], [0.833, 0.667, 0.370], [0.663, 0.837, 0.125], [0.163, 0.831, 0.625], [0.833, 0.667, 0.880], [0.824, 0.162, 0.379], [0.338, 0.676, 0.871], [0.338, 0.162, 0.379], [0.669, 0.337, 0.625], [0.824, 0.162, 0.871], [0.338, 0.162, 0.871], [0.167, 0.333, 0.125], [0.167, 0.333, 0.625]]}

Entry 2:
{"formula": "Mg14VBi", "functional": "PBE", "state": "relaxed", "volume_a3_per_atom": 22.68, "magmom_total_mub_per_fu": 3.69, "crystal_system": "orthorhombic", "spacegroup": "Amm2, No. 38", "lattice": [[6.375, 0.029, 0.000], [-3.162, 5.477, 0.000], [0.000, 0.000, 10.365]], "species": ["Mg", "Mg", "Mg", "Mg", "Mg", "Mg", "Mg", "Mg", "Mg", "Mg", "Mg", "Mg", "Mg", "Mg", "V", "Bi"], "fractional_positions": [[0.166, 0.333, 0.625], [0.830, 0.665, 0.379], [0.667, 0.333, 0.625], [0.667, 0.333, 0.125], [0.333, 0.661, 0.376], [0.333, 0.173, 0.376], [0.838, 0.169, 0.373], [0.333, 0.661, 0.874], [0.830, 0.665, 0.871], [0.667, 0.835, 0.125], [0.667, 0.834, 0.625], [0.333, 0.173, 0.874], [0.838, 0.169, 0.877], [0.167, 0.833, 0.625], [0.167, 0.333, 0.125], [0.164, 0.832, 0.125]]}

Entry 3:
{"formula": "Mg6VBi", "functional": "PBE", "state": "relaxed", "volume_a3_per_atom": 22.46, "magmom_total_mub_per_fu": 3.21, "lattice": [[5.112, 0.000, 0.000], [0.000, 6.453, 0.000], [0.000, 0.000, 10.892]], "species": ["Bi", "Bi", "Mg", "Mg", "Mg", "Mg", "Mg", "Mg", "Mg", "Mg", "Mg", "Mg", "Mg", "Mg", "V", "V"], "fractional_positions": [[0.500, 0.500, 0.172], [0.500, 0.000, 0.672], [0.500, 0.500, 0.668], [0.500, 0.246, 0.915], [0.000, 0.741, 0.580], [0.500, 0.754, 0.915], [0.000, 0.241, 0.080], [0.500, 0.000, 0.168], [0.500, 0.254, 0.415], [0.000, 0.259, 0.580], [0.000, 0.000, 0.335], [0.000, 0.500, 0.835], [0.000, 0.759, 0.080], [0.500, 0.746, 0.415], [0.000, 0.500, 0.336], [0.000, 0.000, 0.836]]}

Entry 4:
{"formula": "Mg14VBi", "functional": "PBE", "state": "relaxed", "volume_a3_per_atom": 22.61, "magmom_total_mub_per_fu": 3.73, "crystal_system": "hexagonal", "spacegroup": "P-6m2, No. 187", "lattice": [[-4.930, -3.957, 0.333], [4.324, -0.709, -4.568], [5.501, -6.332, 6.190]], "species": ["Mg", "Mg", "Mg", "Mg", "Mg", "Mg", "Mg", "Mg", "Mg", "Mg", "Mg", "Mg", "Mg", "Mg", "V", "Bi"], "fractional_positions": [[0.332, 0.665, 0.885], [0.833, 0.667, 0.875], [0.667, 0.833, 0.125], [0.167, 0.833, 0.125], [0.166, 0.833, 0.625], [0.835, 0.168, 0.885], [0.332, 0.168, 0.885], [0.833, 0.667, 0.375], [0.332, 0.168, 0.365], [0.667, 0.833, 0.625], [0.835, 0.168, 0.365], [0.667, 0.333, 0.125], [0.667, 0.334, 0.625], [0.332, 0.665, 0.365], [0.167, 0.333, 0.125], [0.167, 0.333, 0.625]]}

Entry 5:
{"formula": "Mg6VBi", "functional": "PBE", "state": "relaxed", "volume_a3_per_atom": 22.47, "magmom_total_mub_per_fu": 3.37, "lattice": [[-4.762, 1.896, 0.991], [-0.814, -4.329, 4.376], [4.307, 6.854, 7.582]], "species": ["Mg", "Mg", "Mg", "Mg", "Mg", "Mg", "Mg", "Mg", "Mg", "Mg", "Mg", "Mg", "V", "V", "Bi", "Bi"], "fractional_positions": [[0.000, 0.238, 0.082], [0.500, 0.749, 0.917], [0.000, 0.500, 0.338], [0.000, 0.500, 0.829], [0.000, 0.738, 0.582], [0.500, 0.251, 0.917], [0.500, 0.249, 0.417], [0.000, 0.000, 0.838], [0.000, 0.000, 0.329], [0.000, 0.262, 0.582], [0.500, 0.751, 0.417], [0.000, 0.762, 0.082], [0.500, 0.000, 0.166], [0.500, 0.500, 0.666], [0.500, 0.000, 0.668], [0.500, 0.500, 0.168]]}

Entry 6:
{"formula": "Mg14BiW", "functional": "PBE", "state": "relaxed", "volume_a3_per_atom": 22.14, "crystal_system": "hexagonal", "spacegroup": "P-6m2, No. 187", "lattice": [[6.312, 0.000, 0.000], [-3.156, 5.467, 0.000], [0.000, 0.000, 10.265]], "species": ["Mg", "Mg", "Mg", "Mg", "Mg", "Mg", "Mg", "Mg", "Mg", "Mg", "Mg", "Mg", "Mg", "Mg", "W", "Bi"], "fractional_positions": [[0.168, 0.834, 0.625], [0.668, 0.336, 0.125], [0.164, 0.832, 0.125], [0.666, 0.332, 0.625], [0.329, 0.657, 0.359], [0.843, 0.171, 0.359], [0.329, 0.171, 0.359], [0.668, 0.832, 0.125], [0.833, 0.667, 0.876], [0.329, 0.171, 0.891], [0.833, 0.667, 0.374], [0.329, 0.657, 0.891], [0.666, 0.834, 0.625], [0.843, 0.171, 0.891], [0.167, 0.333, 0.125], [0.167, 0.333, 0.625]]}

Entry 7:
{"formula": "Mg14BiW", "functional": "PBE", "state": "relaxed", "volume_a3_per_atom": 22.04, "magmom_total_mub_per_fu": 1.83, "crystal_system": "orthorhombic", "spacegroup": "Amm2, No. 38", "lattice": [[-2.667, 3.633, 4.408], [3.145, -5.263, 1.663], [8.617, 5.392, 0.771]], "species": ["Mg", "Mg", "Mg", "Mg", "Mg", "Mg", "Mg", "Mg", "Mg", "Mg", "Mg", "Mg", "Mg", "Mg", "Bi", "W"], "fractional_positions": [[0.169, 0.834, 0.625], [0.330, 0.654, 0.879], [0.828, 0.664, 0.868], [0.166, 0.333, 0.625], [0.330, 0.176, 0.879], [0.330, 0.654, 0.371], [0.668, 0.835, 0.125], [0.844, 0.172, 0.368], [0.330, 0.176, 0.371], [0.668, 0.333, 0.125], [0.667, 0.331, 0.625], [0.828, 0.664, 0.382], [0.844, 0.172, 0.882], [0.667, 0.836, 0.625], [0.159, 0.829, 0.125], [0.170, 0.335, 0.125]]}

Entry 8:
{"formula": "Mg14ZnBi", "functional": "PBE", "state": "relaxed", "volume_a3_per_atom": 22.96, "magmom_total_mub_per_fu": 0.00, "crystal_system": "hexagonal", "spacegroup": "P-6m2, No. 187", "lattice": [[6.386, 0.000, 0.000], [-3.193, 5.530, 0.000], [0.000, 0.000, 10.402]], "species": ["Mg", "Mg", "Mg", "Mg", "Mg", "Mg", "Mg", "Mg", "Mg", "Mg", "Mg", "Mg", "Mg", "Mg", "Bi", "Zn"], "fractional_positions": [[0.667, 0.334, 0.625], [0.166, 0.833, 0.625], [0.830, 0.165, 0.884], [0.335, 0.165, 0.366], [0.667, 0.833, 0.625], [0.833, 0.667, 0.876], [0.335, 0.165, 0.884], [0.830, 0.165, 0.366], [0.667, 0.833, 0.125], [0.165, 0.833, 0.125], [0.833, 0.667, 0.374], [0.335, 0.670, 0.366], [0.335, 0.670, 0.884], [0.667, 0.335, 0.125], [0.167, 0.333, 0.625], [0.167, 0.333, 0.125]]}

no.,electronic total energy (Ha/atom),offset from the most stable computed form (meV/atom),energy of formation from the pure elements (eV per formula unit)
1,-0.0633,47,0.440
2,-0.0792,0,0.914
3,-0.0998,0,0.840
4,-0.0790,5,0.988
5,-0.0995,11,0.924
6,-0.0857,0,1.921
7,-0.0846,31,2.418
8,-0.0639,0,-0.283